Entry 1:
## LaAl2Ge2 (PBE-GGA)

Data for crystalline LaAl2Ge2 at its relaxed geometry.

Output
VASP energy	-24.1	eV/cell
crystal system	trigonal
E_form	-46	kJ per mole of atoms

Cell: 4.3359 4.3359 7.0066 Å, 90.00 90.00 120.00°
Closest atoms and distances in Å follow each position.
Space group P-3m1 (No. 164)
One atom of each set of equivalent atoms:
La 0.0000 0.0000 0.0000 (multiplicity 1)  6 Ge 3.14
Al 0.3333 0.6667 0.3610 (multiplicity 2)  4 Ge 2.58
Ge 0.3333 0.6667 0.7298 (multiplicity 2)  4 Al 2.58

---

Entry 2:
## AlGaNi2 (PBE-GGA)

Data for crystalline AlGaNi2 at its relaxed geometry.

Output
VASP energy	-81.5	eV/cell
crystal system	cubic
E_form	-49	kJ per mole of atoms

Cell: 5.7926 5.7926 5.7926 Å, 90.00 90.00 90.00°
Closest atoms and distances in Å follow each position.
Space group Fm-3m (No. 225)
One atom of each set of equivalent atoms:
Al 0.0000 0.0000 0.0000 (multiplicity 4)  8 Ni 2.51
Ga 0.0000 0.0000 0.5000 (multiplicity 4)  8 Ni 2.51
Ni 0.2500 0.2500 0.2500 (multiplicity 8)  4 Al 2.51, 4 Ga 2.51

---

Entry 3:
## Mg14CdC (PBE-GGA)

Data for crystalline Mg14CdC at its relaxed geometry.

Output
VASP energy	-60.2	eV/cell
crystal system	orthorhombic
E_form	15	kJ per mole of atoms
relative energy among the computed polymorphs	0.000	eV per atom

Cell: 8.6328 8.0311 9.9152 Å, 90.00 90.00 90.00°
Closest atoms and distances in Å follow each position.
Space group Amm2 (No. 38)
One atom of each set of equivalent atoms:
Mg 0.0000 0.0000 0.0000 (multiplicity 2)  10 Mg 3.09-3.38
Mg 0.0000 0.0000 0.4863 (multiplicity 2)  8 Mg 3.05-3.28
Mg 0.0000 0.2468 0.7501 (multiplicity 4)  8 Mg 2.97-3.28
Mg 0.2508 0.0000 0.7033 (multiplicity 4)  7 Mg 2.97-3.20, 1 Cd 3.03
Mg 0.2625 0.0000 0.2531 (multiplicity 4)  1 C 2.50
Mg 0.3126 0.1854 0.9833 (multiplicity 8)  1 C 2.52
Mg 0.5000 0.2446 0.2264 (multiplicity 4)  1 C 2.29
Cd 0.5000 0.0000 0.4888 (multiplicity 2)  12 Mg 3.00-3.26
C 0.5000 0.0000 0.1084 (multiplicity 2)  8 Mg 2.29-2.52